1.
DFT (PBE-GGA) results for NaAsSe2 after structural relaxation.

a = 7.086 Å, b = 7.086 Å, c = 7.086 Å
α = 133.51°, β = 133.51°, γ = 67.85°
Sites, in units of the cell vectors:
Se1 0.731 0.731 0.000
Na1 0.000 0.000 0.000
Se2 0.481 0.981 0.500
Na2 0.750 0.250 0.500
As1 0.250 0.750 0.500
As2 0.500 0.500 0.000
Se3 0.019 0.519 0.500
Se4 0.269 0.269 0.000

Summary:
- Formation energy: -258 kJ/mol of formula units
- Calculated volume: 92 Å³/f.u.
- Symmetry: I4_1/amd

2.
DFT (PBE-GGA) results for Na3InP2O8 after structural relaxation.

a = 5.535 Å, b = 7.127 Å, c = 8.779 Å
α = 89.99°, β = 90.00°, γ = 90.00°
Sites, in units of the cell vectors:
O1 0.521 0.216 0.294
P1 0.250 0.223 0.905
P2 0.250 0.777 0.599
O2 0.250 0.399 0.003
O3 0.750 0.050 0.509
O4 0.750 0.601 0.997
Na1 0.750 0.289 0.061
P3 0.750 0.777 0.095
O5 0.250 0.950 0.491
O6 0.479 0.224 0.797
O7 0.979 0.216 0.294
O8 0.979 0.776 0.203
Na2 0.750 0.506 0.744
In1 0.250 0.997 0.247
Na3 0.250 0.711 0.939
Na4 0.250 0.494 0.256
O9 0.750 0.958 0.997
O10 0.479 0.784 0.706
Na5 0.750 0.724 0.434
Na6 0.250 0.276 0.566
O11 0.250 0.593 0.510
In2 0.750 0.003 0.753
O12 0.021 0.224 0.797
O13 0.750 0.407 0.490
P4 0.750 0.223 0.401
O14 0.021 0.784 0.706
O15 0.250 0.042 0.003
O16 0.521 0.776 0.203

Summary:
- Formation energy: -3446 kJ/mol of formula units
- Calculated volume: 173 Å³/f.u.
- Symmetry: P2_1/m